## i
! LuCu3S3 PBE relaxed; values from VASP
&SYSTEM
  ibrav = 0, nat = 14, ntyp = 3
/
ATOMIC_SPECIES
Lu 174.97 Lu.upf
Cu 63.55 Cu.upf
S 32.06 S.upf
CELL_PARAMETERS angstrom
3.8276 0.0000 0.0000
-1.9138 3.3148 0.0000
0.0000 0.0000 19.6524
ATOMIC_POSITIONS crystal
Lu 0.0000 0.0000 0.1664
Lu 0.0000 0.0000 0.8336
Cu 0.3333 0.6667 0.0442
Cu 0.3333 0.6667 0.4016
Cu 0.3333 0.6667 0.7082
Cu 0.6667 0.3333 0.2918
Cu 0.6667 0.3333 0.5984
Cu 0.6667 0.3333 0.9558
S 0.3333 0.6667 0.2403
S 0.3333 0.6667 0.5952
S 0.3333 0.6667 0.9189
S 0.6667 0.3333 0.0811
S 0.6667 0.3333 0.4048
S 0.6667 0.3333 0.7597
! * crystal system: trigonal
! * space group: P-3m1 (164)


## ii
! LuCu3S3 PBE relaxed; values from VASP
&SYSTEM
  ibrav = 0, nat = 14, ntyp = 3
/
ATOMIC_SPECIES
Lu 174.97 Lu.upf
Cu 63.55 Cu.upf
S 32.06 S.upf
CELL_PARAMETERS angstrom
3.3212 1.9175 6.2729
-3.3212 1.9175 6.2729
0.0000 -3.8350 6.2729
ATOMIC_POSITIONS crystal
Lu 0.1665 0.1665 0.1665
Lu 0.8335 0.8335 0.8335
Cu 0.0399 0.7122 0.3762
Cu 0.2878 0.6238 0.9601
Cu 0.3762 0.0399 0.7122
Cu 0.6238 0.9601 0.2878
Cu 0.7122 0.3762 0.0399
Cu 0.9601 0.2878 0.6238
S 0.0834 0.4195 0.7528
S 0.2472 0.9166 0.5805
S 0.4195 0.7528 0.0834
S 0.5805 0.2472 0.9166
S 0.7528 0.0834 0.4195
S 0.9166 0.5805 0.2472
! * crystal system: trigonal
! * space group: R-3 (148)


Relative stability in kJ/mol of atoms, measured from the most stable structure: i 14.8; ii 0.0


## i
! MgMnCu2SnS4 PBE relaxed; values from VASP
&SYSTEM
  ibrav = 0, nat = 9, ntyp = 5
/
ATOMIC_SPECIES
Mg 24.30 Mg.upf
Mn 54.94 Mn.upf
Cu 63.55 Cu.upf
Sn 118.71 Sn.upf
S 32.06 S.upf
CELL_PARAMETERS angstrom
0.0000 4.2926 5.8305
3.8764 0.0000 5.8305
3.8764 4.2926 0.0000
ATOMIC_POSITIONS crystal
Mg 0.0000 0.0000 0.0000
Mn 0.7371 0.7371 0.2629
Cu 0.4901 0.4901 0.0099
Cu 0.9901 0.9901 0.5099
Sn 0.2697 0.2697 0.7303
S 0.0882 0.6569 0.3431
S 0.3689 0.8304 0.6311
S 0.6569 0.0882 0.9118
S 0.8304 0.3689 0.1696
! * crystal system: orthorhombic
! * space group: Fmm2 (42)


## ii
! MgMnCu2SnS4 PBE relaxed; values from VASP
&SYSTEM
  ibrav = 0, nat = 9, ntyp = 5
/
ATOMIC_SPECIES
Mg 24.30 Mg.upf
Mn 54.94 Mn.upf
Cu 63.55 Cu.upf
Sn 118.71 Sn.upf
S 32.06 S.upf
CELL_PARAMETERS angstrom
-2.9084 3.1499 5.0906
2.9084 -3.1499 5.0906
2.9084 3.1499 -5.0906
ATOMIC_POSITIONS crystal
Mg 0.0000 0.0000 0.0000
Mn 0.0000 0.5000 0.5000
Cu 0.2697 0.2697 0.0000
Cu 0.7303 0.7303 0.0000
Sn 0.5000 0.0000 0.5000
S 0.0625 0.1214 0.4720
S 0.3506 0.8786 0.9411
S 0.6494 0.5905 0.5280
S 0.9375 0.4095 0.0589
! * crystal system: orthorhombic
! * space group: I222 (23)


Relative stability in kJ/mol of atoms, measured from the most stable structure: i 0.0; ii 3.9


## i
Mg6CuMo | PBE | relaxed Values from VASP.

The structure in Quantum ESPRESSO input format:
```
&SYSTEM
  ibrav = 0, nat = 16, ntyp = 3
/
ATOMIC_SPECIES
Cu 63.55 Cu.upf
Mg 24.30 Mg.upf
Mo 95.94 Mo.upf
CELL_PARAMETERS angstrom
4.8099 0.0000 0.0000
0.0000 6.0669 0.0000
0.0000 0.0000 10.5546
ATOMIC_POSITIONS crystal
Cu 0.0000 0.0000 0.8173
Mg 0.0000 0.5000 0.8339
Mg 0.0000 0.2639 0.0912
Mo 0.5000 0.5000 0.1705
Cu 0.0000 0.5000 0.3173
Mg 0.5000 0.7598 0.9150
Mg 0.0000 0.2361 0.5912
Mg 0.0000 0.0000 0.3339
Mg 0.0000 0.7639 0.5912
Mg 0.5000 0.2402 0.9150
Mo 0.5000 0.0000 0.6705
Mg 0.5000 0.2598 0.4150
Mg 0.5000 0.7402 0.4150
Mg 0.0000 0.7361 0.0912
Mg 0.5000 0.5000 0.6659
Mg 0.5000 0.0000 0.1659
```


## ii
Mg6CuMo | PBE | relaxed Values from VASP.

The structure in Quantum ESPRESSO input format:
```
&SYSTEM
  ibrav = 0, nat = 16, ntyp = 3
/
ATOMIC_SPECIES
Cu 63.55 Cu.upf
Mg 24.30 Mg.upf
Mo 95.94 Mo.upf
CELL_PARAMETERS angstrom
4.7693 0.0000 0.0000
0.0000 6.0850 0.0000
0.0000 0.0000 10.4791
ATOMIC_POSITIONS crystal
Cu 0.0000 0.5000 0.3338
Mg 0.5000 0.5000 0.1736
Mg 0.5000 0.5000 0.6748
Mo 0.0000 0.5000 0.8321
Mg 0.0000 0.2472 0.0821
Mo 0.0000 0.0000 0.3321
Cu 0.0000 0.0000 0.8338
Mg 0.5000 0.0000 0.1748
Mg 0.5000 0.0000 0.6736
Mg 0.0000 0.7528 0.0821
Mg 0.5000 0.7536 0.4108
Mg 0.5000 0.7464 0.9108
Mg 0.0000 0.7472 0.5821
Mg 0.0000 0.2528 0.5821
Mg 0.5000 0.2536 0.9108
Mg 0.5000 0.2464 0.4108
```


Relative stability in kJ/mol of atoms, measured from the most stable structure: i 0.0; ii 0.8


## i
! Na2MgCu2O4 PBE relaxed; values from VASP
&SYSTEM
  ibrav = 0, nat = 9, ntyp = 4
/
ATOMIC_SPECIES
Na 22.99 Na.upf
Mg 24.30 Mg.upf
Cu 63.55 Cu.upf
O 16.00 O.upf
CELL_PARAMETERS angstrom
5.6055 0.0000 0.0000
0.0000 1.8401 5.4199
0.0000 -1.8401 5.4199
ATOMIC_POSITIONS crystal
Na 0.0000 0.0000 0.0000
Na 0.5000 0.3732 0.3732
Mg 0.0000 0.3394 0.3394
Cu 0.0000 0.6571 0.6571
Cu 0.5000 0.6487 0.6487
O 0.2300 0.7884 0.7884
O 0.2317 0.5280 0.5280
O 0.7683 0.5280 0.5280
O 0.7700 0.7884 0.7884
! * crystal system: orthorhombic
! * space group: Amm2 (38)


## ii
! Na2MgCu2O4 PBE relaxed; values from VASP
&SYSTEM
  ibrav = 0, nat = 9, ntyp = 4
/
ATOMIC_SPECIES
Na 22.99 Na.upf
Mg 24.30 Mg.upf
Cu 63.55 Cu.upf
O 16.00 O.upf
CELL_PARAMETERS angstrom
5.6913 -1.5977 0.0000
5.6913 1.5977 0.0000
-1.2622 0.0000 6.6086
ATOMIC_POSITIONS crystal
Na 0.2322 0.2322 0.2461
Na 0.7678 0.7678 0.7539
Mg 0.0000 0.0000 0.5000
Cu 0.4945 0.4945 0.8200
Cu 0.5055 0.5055 0.1800
O 0.3723 0.3723 0.9880
O 0.3934 0.3934 0.5668
O 0.6066 0.6066 0.4332
O 0.6277 0.6277 0.0120
! * crystal system: monoclinic
! * space group: C2/m (12)


## iii
! Na2MgCu2O4 PBE relaxed; values from VASP
&SYSTEM
  ibrav = 0, nat = 9, ntyp = 4
/
ATOMIC_SPECIES
Na 22.99 Na.upf
Mg 24.30 Mg.upf
Cu 63.55 Cu.upf
O 16.00 O.upf
CELL_PARAMETERS angstrom
2.8894 0.0000 0.0000
-1.4429 5.2389 0.0000
-0.0054 -0.9042 8.3612
ATOMIC_POSITIONS crystal
Na 0.0000 0.0000 0.0000
Na 0.2152 0.4306 0.4585
Mg 0.4720 0.9444 0.6691
Cu 0.4662 0.9383 0.3566
Cu 0.7379 0.4758 0.8051
O 0.0464 0.1001 0.2603
O 0.1075 0.2150 0.7450
O 0.3617 0.7235 0.8492
O 0.8933 0.7882 0.4997
! * crystal system: triclinic
! * space group: P1 (1)


Relative stability in kJ/mol of atoms, measured from the most stable structure: i 19.2; ii 11.3; iii 0.0


## i
! Na7MgCu3O8 PBE relaxed; values from VASP
&SYSTEM
  ibrav = 0, nat = 19, ntyp = 4
/
ATOMIC_SPECIES
Na 22.99 Na.upf
Mg 24.30 Mg.upf
Cu 63.55 Cu.upf
O 16.00 O.upf
CELL_PARAMETERS angstrom
5.7872 0.0000 0.0000
-0.2560 6.7146 0.0000
-2.6198 -2.2608 6.6950
ATOMIC_POSITIONS crystal
Na 0.0000 0.0000 0.0000
Na 0.0271 0.1737 0.6594
Na 0.2423 0.3912 0.3541
Na 0.4135 0.8249 0.8175
Na 0.6515 0.1851 0.2447
Na 0.7976 0.6292 0.6005
Na 0.8537 0.3912 0.9177
Mg 0.3152 0.8067 0.2119
Cu 0.4571 0.0491 0.5501
Cu 0.4573 0.5036 0.0490
Cu 0.9390 0.7757 0.3051
O 0.1330 0.0476 0.3402
O 0.1409 0.6465 0.9272
O 0.2815 0.7567 0.4615
O 0.2880 0.2402 0.0044
O 0.6159 0.3028 0.5655
O 0.6205 0.8156 0.1483
O 0.7265 0.9852 0.7251
O 0.8038 0.4898 0.2366
! * crystal system: triclinic
! * space group: P1 (1)


## ii
! Na7MgCu3O8 PBE relaxed; values from VASP
&SYSTEM
  ibrav = 0, nat = 19, ntyp = 4
/
ATOMIC_SPECIES
Na 22.99 Na.upf
Mg 24.30 Mg.upf
Cu 63.55 Cu.upf
O 16.00 O.upf
CELL_PARAMETERS angstrom
5.8643 0.0000 0.0000
-0.2300 6.1247 0.0000
-2.4132 -2.9456 7.0041
ATOMIC_POSITIONS crystal
Na 0.0000 0.0000 0.0000
Na 0.0142 0.1507 0.4236
Na 0.1499 0.4789 0.2737
Na 0.4342 0.8138 0.8445
Na 0.4556 0.2432 0.7113
Na 0.5260 0.2691 0.1293
Na 0.6125 0.5409 0.5359
Mg 0.0514 0.8002 0.5753
Cu 0.4990 0.9190 0.3391
Cu 0.7532 0.6476 0.0944
Cu 0.9758 0.3940 0.8207
O 0.0844 0.5262 0.6593
O 0.1406 0.1159 0.7928
O 0.3386 0.1854 0.3257
O 0.3482 0.8325 0.5005
O 0.6623 0.9446 0.1618
O 0.7491 0.6683 0.3379
O 0.7629 0.6327 0.8588
O 0.8264 0.3381 0.0047
! * crystal system: triclinic
! * space group: P1 (1)


Relative stability in kJ/mol of atoms, measured from the most stable structure: i 4.6; ii 0.0


## i
! Mg6NbCuO8 PBE relaxed; values from VASP
&SYSTEM
  ibrav = 0, nat = 16, ntyp = 4
/
ATOMIC_SPECIES
Mg 24.30 Mg.upf
Nb 92.91 Nb.upf
Cu 63.55 Cu.upf
O 16.00 O.upf
CELL_PARAMETERS angstrom
4.2984 0.0000 0.0000
0.0000 4.2984 0.0000
0.0000 0.0000 8.8418
ATOMIC_POSITIONS crystal
Mg 0.0000 0.0000 0.0000
Mg 0.0000 0.5000 0.2431
Mg 0.0000 0.5000 0.7569
Mg 0.5000 0.0000 0.2431
Mg 0.5000 0.0000 0.7569
Mg 0.5000 0.5000 0.0000
Nb 0.0000 0.0000 0.5000
Cu 0.5000 0.5000 0.5000
O 0.0000 0.0000 0.2434
O 0.0000 0.0000 0.7566
O 0.0000 0.5000 0.0000
O 0.0000 0.5000 0.5000
O 0.5000 0.0000 0.0000
O 0.5000 0.0000 0.5000
O 0.5000 0.5000 0.2346
O 0.5000 0.5000 0.7654
! * crystal system: tetragonal
! * space group: P4/mmm (123)


## ii
! Mg6NbCuO8 PBE relaxed; values from VASP
&SYSTEM
  ibrav = 0, nat = 16, ntyp = 4
/
ATOMIC_SPECIES
Mg 24.30 Mg.upf
Nb 92.91 Nb.upf
Cu 63.55 Cu.upf
O 16.00 O.upf
CELL_PARAMETERS angstrom
4.2807 0.0000 0.0000
0.0000 4.2807 0.0000
0.0000 0.0000 8.9640
ATOMIC_POSITIONS crystal
Mg 0.0000 0.0000 0.0000
Mg 0.0000 0.0000 0.5000
Mg 0.0000 0.5000 0.2329
Mg 0.0000 0.5000 0.7671
Mg 0.5000 0.0000 0.2329
Mg 0.5000 0.0000 0.7671
Nb 0.5000 0.5000 0.5000
Cu 0.5000 0.5000 0.0000
O 0.0000 0.0000 0.2507
O 0.0000 0.0000 0.7493
O 0.0000 0.5000 0.0000
O 0.0000 0.5000 0.5000
O 0.5000 0.0000 0.0000
O 0.5000 0.0000 0.5000
O 0.5000 0.5000 0.2603
O 0.5000 0.5000 0.7397
! * crystal system: tetragonal
! * space group: P4/mmm (123)


Relative stability in kJ/mol of atoms, measured from the most stable structure: i 0.0; ii 1.7


## i
! MgTi2Nb2Cu3O12 PBE relaxed; values from VASP
&SYSTEM
  ibrav = 0, nat = 20, ntyp = 5
/
ATOMIC_SPECIES
Mg 24.30 Mg.upf
Ti 47.87 Ti.upf
Nb 92.91 Nb.upf
Cu 63.55 Cu.upf
O 16.00 O.upf
CELL_PARAMETERS angstrom
5.3463 -3.7906 0.0000
5.3463 3.7906 0.0000
-5.3452 0.0000 5.3527
ATOMIC_POSITIONS crystal
Mg 0.0000 0.0000 0.0000
Ti 0.0000 0.5000 0.0000
Ti 0.5000 0.0000 0.0000
Nb 0.0000 0.5000 0.5000
Nb 0.5000 0.0000 0.5000
Cu 0.0000 0.0000 0.5000
Cu 0.5000 0.5000 0.0000
Cu 0.5000 0.5000 0.5000
O 0.1202 0.4752 0.2959
O 0.1749 0.1749 0.4743
O 0.1793 0.1793 0.8832
O 0.2957 0.7006 0.1757
O 0.2994 0.7043 0.8243
O 0.4752 0.1202 0.2959
O 0.5248 0.8798 0.7041
O 0.7006 0.2957 0.1757
O 0.7043 0.2994 0.8243
O 0.8207 0.8207 0.1168
O 0.8251 0.8251 0.5257
O 0.8798 0.5248 0.7041
! * crystal system: monoclinic
! * space group: C2/m (12)


## ii
! MgTi2Nb2Cu3O12 PBE relaxed; values from VASP
&SYSTEM
  ibrav = 0, nat = 20, ntyp = 5
/
ATOMIC_SPECIES
Mg 24.30 Mg.upf
Ti 47.87 Ti.upf
Nb 92.91 Nb.upf
Cu 63.55 Cu.upf
O 16.00 O.upf
CELL_PARAMETERS angstrom
6.4820 0.0000 0.0000
-2.1350 6.2435 0.0000
-1.9666 -3.0255 5.7475
ATOMIC_POSITIONS crystal
Mg 0.0000 0.0000 0.0000
Ti 0.3855 0.9651 0.8221
Ti 0.8878 0.9279 0.3547
Nb 0.3861 0.4619 0.3340
Nb 0.8873 0.4359 0.8149
Cu 0.3606 0.9379 0.2936
Cu 0.3936 0.4705 0.8339
Cu 0.7009 0.9258 0.6469
O 0.0387 0.9304 0.6227
O 0.0612 0.3302 0.0052
O 0.1337 0.2062 0.3637
O 0.1710 0.6204 0.7904
O 0.3257 0.7362 0.4656
O 0.3604 0.1164 0.1015
O 0.5437 0.2560 0.8074
O 0.5727 0.6312 0.1970
O 0.6540 0.5299 0.5956
O 0.6541 0.9280 0.9317
O 0.7455 0.1299 0.4866
O 0.9688 0.7377 0.0943
! * crystal system: triclinic
! * space group: P1 (1)


Relative stability in kJ/mol of atoms, measured from the most stable structure: i 0.0; ii 5.9


## i
! MgTi3NbCu3O12 PBE relaxed; values from VASP
&SYSTEM
  ibrav = 0, nat = 20, ntyp = 5
/
ATOMIC_SPECIES
Mg 24.30 Mg.upf
Ti 47.87 Ti.upf
Nb 92.91 Nb.upf
Cu 63.55 Cu.upf
O 16.00 O.upf
CELL_PARAMETERS angstrom
6.5147 0.0000 0.0000
-1.8189 6.3552 0.0000
-2.4045 -3.0367 5.4967
ATOMIC_POSITIONS crystal
Mg 0.0000 0.0000 0.0000
Ti 0.3483 0.4348 0.3396
Ti 0.4110 0.9785 0.8459
Ti 0.8580 0.8901 0.2994
Nb 0.8945 0.4292 0.7996
Cu 0.3750 0.9369 0.3160
Cu 0.3777 0.4286 0.8160
Cu 0.7267 0.8329 0.5823
O 0.0054 0.7552 0.1197
O 0.0568 0.9263 0.6175
O 0.0725 0.3310 0.0327
O 0.1771 0.2429 0.4201
O 0.1781 0.6015 0.7978
O 0.3615 0.1116 0.1205
O 0.3821 0.7554 0.5093
O 0.5664 0.2466 0.8311
O 0.5786 0.6219 0.1887
O 0.6773 0.5398 0.6217
O 0.6888 0.9479 0.0213
O 0.7448 0.1159 0.5041
! * crystal system: triclinic
! * space group: P1 (1)


## ii
! MgTi3NbCu3O12 PBE relaxed; values from VASP
&SYSTEM
  ibrav = 0, nat = 20, ntyp = 5
/
ATOMIC_SPECIES
Mg 24.30 Mg.upf
Ti 47.87 Ti.upf
Nb 92.91 Nb.upf
Cu 63.55 Cu.upf
O 16.00 O.upf
CELL_PARAMETERS angstrom
5.2980 3.0588 2.1651
-5.2980 3.0588 2.1651
0.0000 -6.1176 2.1651
ATOMIC_POSITIONS crystal
Mg 0.0000 0.0000 0.0000
Ti 0.0000 0.0000 0.5000
Ti 0.0000 0.5000 0.0000
Ti 0.5000 0.0000 0.0000
Nb 0.5000 0.5000 0.5000
Cu 0.0000 0.5000 0.5000
Cu 0.5000 0.0000 0.5000
Cu 0.5000 0.5000 0.0000
O 0.1219 0.8232 0.2984
O 0.1727 0.2979 0.4750
O 0.1768 0.7016 0.8781
O 0.2984 0.1219 0.8232
O 0.2979 0.4750 0.1727
O 0.4750 0.1727 0.2979
O 0.5250 0.8273 0.7021
O 0.7021 0.5250 0.8273
O 0.7016 0.8781 0.1768
O 0.8232 0.2984 0.1219
O 0.8273 0.7021 0.5250
O 0.8781 0.1768 0.7016
! * crystal system: trigonal
! * space group: R-3 (148)


Relative stability in kJ/mol of atoms, measured from the most stable structure: i 7.4; ii 0.0